1.
BiOF | PBE-GGA | relaxed

Geometry as extended XYZ:
```
24
Lattice="-0.8840 3.5892 1.3897 -8.0513 -2.1551 0.4445 -2.2935 -4.8960 11.1865" Properties=species:S:1:pos:R:3 pbc="T T T"
Bi -4.3262 -3.0391 7.9029
Bi -6.2674 -2.5533 11.0245
Bi -4.9615 -0.9086 1.9961
Bi -8.2483 -3.7943 7.3583
Bi -2.9805 0.3323 5.6623
Bi -6.9027 -0.4228 5.1177
Bi -1.2017 0.1125 1.7507
Bi -10.0272 -3.5744 11.2699
O -3.0780 0.0865 0.6240
O -6.8094 -1.8792 3.3274
O -8.9427 -1.6488 6.9865
O -5.9873 -3.8844 9.0295
O -5.2416 0.4225 3.9912
O -8.1508 -3.5485 12.3966
O -2.2862 -1.8131 6.0341
O -4.4194 -1.5827 9.6932
F -1.4895 2.4194 1.2204
F -2.7394 -0.8352 3.2200
F -6.4014 -2.8974 6.2167
F -1.3363 1.4657 3.7812
F -8.4895 -2.6268 9.8006
F -4.8275 -0.5646 6.8039
F -9.8926 -4.9276 9.2394
F -9.7393 -5.8813 11.8002
```

- Symmetry: P2_1/m (11)
- Crystal system: monoclinic
- Total magnetization: 0.00 Bohr magnetons per cell

***

2.
RbCl | PBE-GGA | relaxed

Geometry as extended XYZ:
```
2
Lattice="3.9964 0.0000 0.0000 0.0000 3.9964 0.0000 0.0000 0.0000 3.9964" Properties=species:S:1:pos:R:3 pbc="T T T"
Rb 0.0000 0.0000 0.0000
Cl 1.9982 1.9982 1.9982
```

- Symmetry: Pm-3m (221)
- Crystal system: cubic

***

3.
Ti3PO7 | PBE-GGA | relaxed

Geometry as extended XYZ:
```
11
Lattice="3.3414 -4.0614 0.0000 3.3414 4.0614 0.0000 -1.5953 0.0000 5.0115" Properties=species:S:1:pos:R:3 pbc="T T T"
Ti 3.5932 1.4914 2.3309
Ti 3.5932 -1.4914 2.3309
Ti 1.7804 0.0000 4.1712
O 1.7762 1.5715 3.0232
O 3.1562 2.7867 0.8506
O 3.1562 -2.7867 0.8506
O 1.7762 -1.5715 3.0232
O -0.2311 0.0000 4.2892
O 3.6863 0.0000 1.0841
O 3.9623 0.0000 3.9031
P 0.0248 0.0000 0.0244
```

- Symmetry: R3m (160)
- Crystal system: trigonal
- Total magnetization: 2.99 Bohr magnetons per cell

***

4.
Nb3SiSnMo3 | PBE-GGA | relaxed

Geometry as extended XYZ:
```
8
Lattice="3.6293 -3.6232 0.0000 3.6293 3.6232 0.0000 0.0122 0.0000 5.1283" Properties=species:S:1:pos:R:3 pbc="T T T"
Si 3.6361 0.0000 2.5646
Mo 4.5323 0.8855 5.1251
Mo 5.4527 -1.8074 3.8202
Mo 6.3367 0.9219 2.5668
Nb 4.5614 2.6905 2.5689
Nb 2.7604 -0.8864 5.1224
Nb 5.4463 -1.8041 1.3143
Sn 7.2637 0.0000 5.1233
```

- Symmetry: R3 (146)
- Crystal system: trigonal
- Total magnetization: 0.01 Bohr magnetons per cell

***

5.
In5AgS8 | PBE-GGA | relaxed

Geometry as extended XYZ:
```
14
Lattice="0.0000 5.4974 5.4974 5.4974 0.0000 5.4974 5.4974 5.4974 0.0000" Properties=species:S:1:pos:R:3 pbc="T T T"
In 6.8077 6.8077 4.1872
In 6.8077 4.1872 6.8077
In 4.1872 4.1872 4.1872
In 4.1872 6.8077 6.8077
In 0.0000 0.0000 0.0000
S 4.2041 4.2041 6.7908
S 4.2041 6.7908 4.2041
S 4.0210 4.0210 1.4765
S 6.7908 6.7908 6.7908
S 4.0210 1.4765 4.0210
S 1.4765 1.4765 1.4765
S 1.4765 4.0210 4.0210
S 6.7908 4.2041 4.2041
Ag 8.2462 8.2462 8.2462
```

- Symmetry: F-43m (216)
- Crystal system: cubic

***

6.
DyMg2Ti3S8 | PBE-GGA | relaxed

Geometry as extended XYZ:
```
14
Lattice="6.5088 0.0833 3.8940 2.2485 6.1028 3.8932 0.1217 0.0852 7.5774" Properties=species:S:1:pos:R:3 pbc="T T T"
S 6.6342 4.6865 7.9427
S 2.2449 1.5849 7.4219
S 5.6126 1.7962 9.7123
S 3.2663 4.4752 5.6521
S 2.3025 1.6253 3.9823
S 6.5765 4.6460 11.3824
S 5.3116 1.5844 5.6525
S 3.5673 4.6869 9.7120
Ti 7.6938 3.1774 9.6293
Ti 5.5638 6.1870 9.6289
Ti 4.5006 3.1783 11.4709
Dy 4.4395 3.1357 7.6822
Mg 1.1287 0.7975 1.9545
Mg 7.7503 5.4738 13.4101
```

- Symmetry: C2/m (12)
- Crystal system: monoclinic
- Total magnetization: 2.98 Bohr magnetons per cell

***

7.
Sr3Nd10Al12Si18N36O18 | PBE-GGA | relaxed

Geometry as extended XYZ:
```
97
Lattice="11.0341 0.0267 -3.8848 -5.4935 9.5411 -3.8838 0.0072 0.0136 11.6746" Properties=species:S:1:pos:R:3 pbc="T T T"
N -1.8672 9.5526 4.7633
N 3.8313 6.7063 -3.7056
N 6.4187 5.2821 0.9653
N -1.8015 3.1521 8.6352
N 9.4436 0.0521 0.4561
N 1.8011 3.1137 -0.6349
N 7.2972 6.5371 3.2621
N -2.1196 9.4810 0.1866
N 3.0446 5.3029 5.7108
N 6.4303 8.0385 0.8102
N 0.8964 1.5290 8.6389
N 6.8755 1.4335 4.9048
N 2.1979 9.5571 3.3055
N -2.8840 8.0769 -2.0537
N 0.8827 4.2810 8.6782
N 9.3579 0.0327 4.8884
N 1.3759 8.1932 0.9910
N 2.0991 6.4638 3.2161
N 8.5599 4.3227 -2.0747
N 2.6991 1.5584 1.9049
N 5.5033 6.7091 -6.0141
N 3.3099 2.9118 8.7247
N 7.6697 3.1246 -4.5612
N -4.6620 8.1067 0.5445
N -2.1956 6.6323 4.8377
N -1.0438 8.1265 7.0921
N 8.5876 1.4922 -2.1224
N 3.7231 6.4399 0.8710
N 9.3591 2.9384 0.1858
N 0.0177 3.0281 1.8481
N -0.5141 9.5351 -2.0911
N 4.5510 5.0059 3.2127
N 3.0322 8.1119 5.6654
N 0.8620 1.4512 4.4313
N 4.4582 1.4487 -0.6890
N -0.9517 4.5926 -0.6986
Nd -0.3612 5.5067 3.4999
Nd 1.8604 3.1199 6.2219
Nd 6.4579 3.1697 -0.3422
Nd -0.4821 7.1772 -0.4035
Nd -2.3174 4.0633 6.2333
Nd 3.2508 5.4828 -1.5590
Nd -3.6966 6.4522 2.3324
Nd 4.6325 0.0423 6.2032
Nd 0.9484 6.4233 -4.2170
Nd 5.0267 2.4069 3.4639
Si 4.6493 8.0623 -3.0121
Si 3.8800 6.7048 -5.4328
Si -3.8247 6.6711 5.4375
Si 7.7299 0.0366 5.4563
Si -0.8634 1.5415 4.7663
Si -1.2907 8.0167 5.3655
Si 4.2327 1.5534 9.2460
Si 1.6857 2.8764 -2.3425
Si 3.3394 0.0122 2.3348
Si -1.6236 2.8771 2.3359
Si -3.7066 9.5385 0.8804
Si 7.6218 2.9139 5.3951
Si -2.5214 4.4132 0.0768
Si 4.7695 5.1717 1.4807
Si -0.7503 4.4181 9.2420
Si -0.3829 9.5479 -3.8090
Si 2.1030 6.7082 1.4889
Si 2.9871 5.1769 3.9896
Al -3.6919 9.5515 4.2937
Al -2.3434 7.2158 8.1079
Al -4.1381 7.2090 -1.0385
Al 8.3256 0.0312 -1.0278
Al 7.4315 1.5798 -3.5567
Al 1.3938 2.3896 2.8810
Al -0.8778 1.5620 8.1830
Al 1.8814 8.0078 4.2386
Al 0.4932 3.9494 0.3337
Al 6.0039 5.6713 4.2322
Al 4.6453 8.0244 0.3896
Al 3.1787 2.3820 0.3348
O 5.5524 4.8745 -1.7959
O -1.3487 7.1555 1.9686
O 5.7301 1.7542 8.5710
O -3.3934 9.5337 2.5119
O 0.0136 4.7958 5.8220
O 0.1906 7.7434 4.6745
O 4.2704 3.7499 0.7865
O 4.0408 2.3123 5.7030
O 6.6118 4.0657 4.7533
O 7.6596 5.8421 -4.0660
O 6.8808 2.5738 1.9612
O 1.0855 5.5601 0.8691
O 2.0999 3.8030 3.7384
O 4.4428 7.8226 -1.3816
O 9.9862 1.8123 2.5146
O -1.2598 5.8382 8.5466
O 1.3465 6.9791 -1.9178
O 1.2411 9.5295 -4.1259
Sr 2.0237 9.5435 -1.5674
Sr 5.1803 4.0762 7.3607
Sr 4.7866 9.3494 4.0330
```

- Symmetry: Cm (8)
- Crystal system: monoclinic
- Relative energy among the computed polymorphs: 0.00 kJ/mol of atoms
- Total magnetization: 0.00 Bohr magnetons per cell

***

8.
U2Ga3Cu | PBE-GGA | relaxed

Geometry as extended XYZ:
```
6
Lattice="-2.9120 -0.0582 -0.3190 0.4193 2.0073 -4.1944 0.5264 -7.3488 -3.4647" Properties=species:S:1:pos:R:3 pbc="T T T"
U 0.4730 -2.6726 -3.8306
U 0.4208 1.9860 -4.2042
Ga -0.8081 -5.1438 -5.1411
Ga -1.1541 -0.3132 -2.8636
Ga -0.6907 -2.8517 -6.6308
Cu -0.8620 -0.4606 -5.5035
```

- Symmetry: Pmm2 (25)
- Crystal system: orthorhombic
- Total magnetization: 5.28 Bohr magnetons per cell

***

Calculated formation energy for the records above, in order: -6.4, -4.4, -33.9, -1.9, -11.2, -24.2, -191.7, -0.8 eV/f.u.
Final energy for the records above, in order: -0.19601, -0.12095, -0.31000, -0.34063, -0.14921, -0.22253, -0.28939, -0.22394 hartree per atom